1.
GdH7C2SO8: relaxed, PBE.

Unit cell a=6.792 b=7.005 c=8.779 alpha=110.30 beta=89.91 gamma=107.86
Sites, in units of the cell vectors:
H (0.574, 0.069, 0.177)
O (0.758, 0.388, 0.594)
O (0.168, 0.543, 0.749)
Gd (0.882, 0.648, 0.871)
H (0.391, 0.661, 0.444)
C (0.255, 0.879, 0.117)
O (0.826, 0.027, 0.956)
C (0.745, 0.121, 0.883)
C (0.444, 0.003, 0.238)
H (0.516, 0.096, 0.704)
H (0.609, 0.339, 0.556)
O (0.781, 0.728, 0.152)
H (0.169, 0.671, 0.499)
O (0.832, 0.457, 0.251)
O (0.518, 0.558, 0.825)
O (0.311, 0.272, 0.581)
C (0.556, 0.997, 0.762)
O (0.170, 0.677, 0.083)
O (0.174, 0.973, 0.044)
O (0.004, 0.826, 0.662)
H (0.426, 0.931, 0.823)
O (0.482, 0.442, 0.175)
Gd (0.118, 0.352, 0.129)
O (0.219, 0.272, 0.848)
H (0.921, 0.017, 0.291)
S (0.696, 0.588, 0.249)
S (0.304, 0.412, 0.751)
H (0.415, 0.141, 0.331)
O (0.996, 0.174, 0.338)
H (0.079, 0.983, 0.709)
H (0.105, 0.199, 0.426)
O (0.689, 0.728, 0.419)
H (0.585, 0.859, 0.669)
H (0.895, 0.801, 0.574)
O (0.830, 0.323, 0.917)
O (0.242, 0.612, 0.406)
H (0.831, 0.329, 0.501)
H (0.484, 0.904, 0.296)

Summary:
DFT formation energy   -1.617 eV/atom
SG   P-1 (2)
Magnetization   14.02 Bohr magnetons per cell

2.
Ca2Sb2O7: relaxed, PBE.

Unit cell a=7.404 b=7.404 c=7.404 alpha=60.00 beta=60.00 gamma=60.00
Sites, in units of the cell vectors:
Sb (0.625, 0.625, 0.125)
Sb (0.625, 0.125, 0.625)
O (0.301, 0.301, 0.699)
O (0.301, 0.699, 0.699)
O (0.301, 0.699, 0.301)
Ca (0.125, 0.125, 0.125)
Sb (0.125, 0.625, 0.625)
O (0.551, 0.949, 0.551)
O (0.551, 0.551, 0.949)
Sb (0.625, 0.625, 0.625)
Ca (0.125, 0.625, 0.125)
Ca (0.625, 0.125, 0.125)
O (0.949, 0.551, 0.551)
O (0.699, 0.301, 0.699)
O (0.699, 0.699, 0.301)
O (0.551, 0.949, 0.949)
O (0.699, 0.301, 0.301)
O (0.949, 0.949, 0.551)
O (0.000, 0.000, 0.000)
O (0.949, 0.551, 0.949)
O (0.250, 0.250, 0.250)
Ca (0.125, 0.125, 0.625)

Summary:
DFT formation energy   -2.565 eV/atom
SG   Fd-3m (227)
Magnetization   0.00 Bohr magnetons per cell

3.
Ca2SnS4: relaxed, PBE.

Unit cell a=7.171 b=11.783 c=16.808 alpha=90.00 beta=90.00 gamma=90.00
Sites, in units of the cell vectors:
S (0.141, 0.166, 0.159)
Ca (0.819, 0.631, 0.188)
S (0.641, 0.666, 0.341)
S (0.547, 0.462, 0.982)
Ca (0.181, 0.131, 0.812)
Ca (0.710, 0.245, 0.949)
S (0.545, 0.326, 0.323)
S (0.455, 0.826, 0.677)
Ca (0.272, 0.495, 0.377)
Ca (0.307, 0.383, 0.120)
S (0.526, 0.935, 0.260)
S (0.695, 0.767, 0.047)
Ca (0.693, 0.883, 0.880)
Ca (0.193, 0.383, 0.620)
Sn (0.219, 0.103, 0.028)
Ca (0.210, 0.745, 0.551)
S (0.805, 0.767, 0.547)
Sn (0.188, 0.775, 0.764)
Ca (0.772, 0.995, 0.123)
S (0.974, 0.935, 0.760)
S (0.638, 0.225, 0.119)
Ca (0.681, 0.631, 0.688)
Sn (0.812, 0.275, 0.236)
S (0.859, 0.666, 0.841)
S (0.045, 0.826, 0.177)
S (0.953, 0.462, 0.482)
Ca (0.790, 0.245, 0.449)
S (0.305, 0.267, 0.953)
S (0.588, 0.111, 0.818)
Ca (0.319, 0.131, 0.312)
Sn (0.781, 0.603, 0.972)
S (0.955, 0.326, 0.823)
Sn (0.312, 0.775, 0.264)
Sn (0.719, 0.603, 0.472)
S (0.431, 0.543, 0.533)
Ca (0.228, 0.495, 0.877)
S (0.088, 0.611, 0.682)
S (0.195, 0.267, 0.453)
Ca (0.728, 0.995, 0.623)
S (0.862, 0.225, 0.619)
S (0.474, 0.435, 0.740)
S (0.412, 0.611, 0.182)
S (0.931, 0.043, 0.967)
Ca (0.807, 0.883, 0.380)
S (0.362, 0.725, 0.881)
Sn (0.281, 0.103, 0.528)
S (0.569, 0.043, 0.467)
Sn (0.688, 0.275, 0.736)
S (0.359, 0.166, 0.659)
S (0.912, 0.111, 0.318)
S (0.026, 0.435, 0.240)
S (0.069, 0.543, 0.033)
S (0.047, 0.962, 0.518)
Ca (0.290, 0.745, 0.051)
S (0.138, 0.725, 0.381)
S (0.453, 0.962, 0.018)

Summary:
DFT formation energy   -1.565 eV/atom
SG   Pna2_1 (33)
ΔE to the lowest computed polymorph   113.5 meV/atom
Magnetization   0.00 Bohr magnetons per cell

4.
Sr3Ru2O7: relaxed, PBE.

Unit cell a=10.771 b=10.771 c=5.593 alpha=90.00 beta=90.00 gamma=149.91
Sites, in units of the cell vectors:
O (0.690, 0.883, 0.213)
O (0.500, 0.500, 0.000)
Ru (0.902, 0.098, 0.500)
Ru (0.402, 0.598, 0.000)
O (0.000, 0.000, 0.500)
O (0.383, 0.190, 0.713)
Ru (0.098, 0.902, 0.500)
O (0.310, 0.117, 0.213)
Sr (0.814, 0.186, 0.000)
O (0.195, 0.805, 0.500)
O (0.810, 0.617, 0.287)
Sr (0.686, 0.314, 0.500)
Sr (0.186, 0.814, 0.000)
O (0.190, 0.383, 0.287)
O (0.117, 0.310, 0.787)
Sr (0.000, 0.000, 0.000)
O (0.695, 0.305, 0.000)
Sr (0.314, 0.686, 0.500)
Ru (0.598, 0.402, 0.000)
O (0.305, 0.695, 0.000)
Sr (0.500, 0.500, 0.500)
O (0.883, 0.690, 0.787)
O (0.617, 0.810, 0.713)
O (0.805, 0.195, 0.500)

Summary:
DFT formation energy   -2.361 eV/atom
SG   Ccce (68)
ΔE to the lowest computed polymorph   0.0 meV/atom

5.
PrAlAu: relaxed, PBE.

Unit cell a=4.650 b=7.602 c=7.787 alpha=90.00 beta=90.00 gamma=90.00
Sites, in units of the cell vectors:
Au (0.750, 0.696, 0.410)
Pr (0.250, 0.012, 0.305)
Au (0.250, 0.804, 0.910)
Pr (0.750, 0.488, 0.805)
Au (0.250, 0.304, 0.590)
Al (0.250, 0.175, 0.916)
Al (0.750, 0.825, 0.084)
Al (0.250, 0.675, 0.584)
Pr (0.750, 0.988, 0.695)
Al (0.750, 0.325, 0.416)
Pr (0.250, 0.512, 0.195)
Au (0.750, 0.196, 0.090)

Summary:
DFT formation energy   -0.726 eV/atom
SG   Pnma (62)

6.
Dy2Fe17CN: relaxed, PBE.

Unit cell a=6.437 b=6.459 c=6.511 alpha=83.63 beta=83.51 gamma=82.81
Sites, in units of the cell vectors:
Fe (0.656, 0.657, 0.147)
N (0.000, 0.500, 0.500)
Fe (0.294, 0.708, 0.998)
Fe (0.097, 0.096, 0.096)
Fe (0.000, 0.000, 0.500)
C (0.500, 0.000, 0.500)
Fe (0.287, 0.997, 0.715)
Fe (0.346, 0.853, 0.341)
Fe (0.000, 0.500, 0.000)
Fe (0.713, 0.003, 0.285)
Fe (0.706, 0.292, 0.002)
Fe (0.903, 0.904, 0.904)
Dy (0.338, 0.348, 0.340)
Fe (0.500, 0.000, 0.000)
Fe (0.000, 0.718, 0.282)
Fe (0.654, 0.147, 0.659)
Fe (0.149, 0.655, 0.659)
Fe (0.851, 0.345, 0.341)
Fe (0.000, 0.282, 0.718)
Fe (0.344, 0.343, 0.853)
Dy (0.662, 0.652, 0.660)

Summary:
DFT formation energy   -0.131 eV/atom
SG   P-1 (2)
Magnetization   37.16 Bohr magnetons per cell

7.
Cr5S8: relaxed, PBE.

Unit cell a=6.555 b=6.555 c=8.062 alpha=54.99 beta=54.99 gamma=63.35
Sites, in units of the cell vectors:
Cr (0.000, 0.000, 0.500)
S (0.545, 0.545, 0.166)
Cr (0.728, 0.272, 0.000)
Cr (0.272, 0.728, 0.000)
S (0.982, 0.982, 0.820)
Cr (0.274, 0.274, 0.490)
S (0.976, 0.452, 0.331)
Cr (0.726, 0.726, 0.510)
S (0.018, 0.018, 0.180)
S (0.548, 0.024, 0.669)
S (0.455, 0.455, 0.834)
S (0.024, 0.548, 0.669)
S (0.452, 0.976, 0.331)

Summary:
DFT formation energy   -0.979 eV/atom
SG   C2/m (12)
ΔE to the lowest computed polymorph   0.0 meV/atom

8.
TmTe3O8: relaxed, PBE.

Unit cell a=6.860 b=6.860 c=10.483 alpha=66.24 beta=66.24 gamma=47.98
Sites, in units of the cell vectors:
O (0.156, 0.679, 0.170)
O (0.852, 0.366, 0.367)
O (0.573, 0.783, 0.086)
O (0.679, 0.156, 0.670)
O (0.782, 0.007, 0.404)
O (0.321, 0.844, 0.330)
O (0.783, 0.573, 0.586)
O (0.148, 0.634, 0.633)
Te (0.695, 0.866, 0.856)
O (0.634, 0.148, 0.133)
O (0.844, 0.321, 0.830)
Te (0.000, 0.000, 0.000)
O (0.427, 0.217, 0.914)
Tm (0.439, 0.561, 0.750)
Te (0.866, 0.695, 0.356)
Te (0.000, 0.000, 0.500)
Te (0.134, 0.305, 0.644)
O (0.366, 0.852, 0.867)
O (0.217, 0.427, 0.414)
Te (0.305, 0.134, 0.144)
Tm (0.561, 0.439, 0.250)
O (0.007, 0.782, 0.904)
O (0.993, 0.218, 0.096)
O (0.218, 0.993, 0.596)

Summary:
DFT formation energy   -2.002 eV/atom
SG   C2/c (15)
Magnetization   0.00 Bohr magnetons per cell

9.
AgN: relaxed, PBE.

Unit cell a=3.199 b=3.199 c=5.624 alpha=90.00 beta=90.00 gamma=120.00
Sites, in units of the cell vectors:
Ag (0.000, 0.000, 0.000)
N (0.667, 0.333, 0.750)
Ag (0.000, 0.000, 0.500)
N (0.333, 0.667, 0.250)

Summary:
DFT formation energy   1.429 eV/atom
SG   P6_3/mmc (194)
ΔE to the lowest computed polymorph   9.5 meV/atom
Magnetization   0.00 Bohr magnetons per cell

10.
RbGa2P5O16: relaxed, PBE.

Unit cell a=9.338 b=7.498 c=10.327 alpha=68.02 beta=90.00 gamma=90.00
Sites, in units of the cell vectors:
O (0.823, 0.484, 0.289)
O (0.012, 0.211, 0.927)
O (0.480, 0.671, 0.885)
O (0.538, 0.023, 0.192)
Ga (0.632, 0.915, 0.373)
O (0.063, 0.276, 0.672)
Rb (0.798, 0.976, 0.772)
P (0.126, 0.263, 0.812)
Ga (0.368, 0.915, 0.873)
O (0.466, 0.987, 0.454)
P (0.294, 0.554, 0.139)
O (0.746, 0.130, 0.020)
O (0.296, 0.772, 0.077)
Rb (0.202, 0.976, 0.272)
Ga (0.139, 0.356, 0.481)
O (0.215, 0.479, 0.029)
P (0.543, 0.500, 0.000)
P (0.457, 0.500, 0.500)
O (0.702, 0.503, 0.029)
O (0.770, 0.455, 0.779)
O (0.534, 0.987, 0.954)
O (0.254, 0.130, 0.520)
O (0.177, 0.484, 0.789)
P (0.585, 0.101, 0.039)
O (0.740, 0.143, 0.358)
P (0.706, 0.554, 0.639)
O (0.298, 0.503, 0.529)
O (0.937, 0.276, 0.172)
O (0.455, 0.470, 0.142)
O (0.520, 0.671, 0.385)
O (0.494, 0.311, 0.470)
O (0.976, 0.596, 0.910)
O (0.260, 0.143, 0.858)
O (0.197, 0.801, 0.817)
O (0.704, 0.772, 0.577)
P (0.874, 0.263, 0.312)
P (0.137, 0.601, 0.883)
O (0.545, 0.470, 0.642)
O (0.024, 0.596, 0.410)
O (0.785, 0.479, 0.529)
O (0.230, 0.455, 0.279)
O (0.803, 0.801, 0.317)
Ga (0.861, 0.356, 0.981)
O (0.988, 0.211, 0.427)
P (0.863, 0.601, 0.383)
O (0.462, 0.023, 0.692)
P (0.415, 0.101, 0.539)
O (0.506, 0.311, 0.970)

Summary:
DFT formation energy   -2.611 eV/atom
SG   Pc (7)

11.
Pr6Fe13Pb: relaxed, PBE.

Unit cell a=8.091 b=8.091 c=13.259 alpha=107.77 beta=107.77 gamma=90.00
Sites, in units of the cell vectors:
Fe (0.296, 0.796, 0.817)
Fe (0.236, 0.736, 0.114)
Fe (0.704, 0.204, 0.183)
Fe (0.210, 0.934, 0.000)
Fe (0.022, 0.296, 0.817)
Pr (0.846, 0.020, 0.366)
Fe (0.566, 0.290, 0.000)
Fe (0.204, 0.478, 0.183)
Fe (0.978, 0.704, 0.183)
Fe (0.378, 0.236, 0.114)
Fe (0.122, 0.622, 0.886)
Fe (0.500, 0.000, 0.000)
Fe (0.290, 0.434, 0.000)
Fe (0.934, 0.790, 0.000)
Pb (0.750, 0.750, 0.500)
Pr (0.154, 0.980, 0.634)
Fe (0.264, 0.122, 0.886)
Pr (0.897, 0.897, 0.794)
Fe (0.434, 0.710, 0.000)
Fe (0.790, 0.066, 0.000)
Pr (0.480, 0.654, 0.634)
Fe (0.478, 0.978, 0.183)
Fe (0.522, 0.022, 0.817)
Fe (0.066, 0.210, 0.000)
Pr (0.020, 0.520, 0.366)
Fe (0.878, 0.378, 0.114)
Pr (0.654, 0.154, 0.634)
Fe (0.710, 0.566, 0.000)
Fe (0.764, 0.264, 0.886)
Pb (0.250, 0.250, 0.500)
Pr (0.397, 0.397, 0.794)
Fe (0.000, 0.500, 0.000)
Pr (0.980, 0.480, 0.634)
Fe (0.796, 0.522, 0.817)
Pr (0.346, 0.846, 0.366)
Pr (0.520, 0.346, 0.366)
Fe (0.736, 0.878, 0.114)
Fe (0.622, 0.764, 0.886)
Pr (0.603, 0.603, 0.206)
Pr (0.103, 0.103, 0.206)

Summary:
DFT formation energy   -0.054 eV/atom
SG   I4/mcm (140)
Magnetization   51.58 Bohr magnetons per cell

12.
ThBr2: relaxed, PBE.

Unit cell a=9.114 b=9.114 c=9.114 alpha=130.81 beta=130.81 gamma=72.11
Sites, in units of the cell vectors:
Br (0.928, 0.553, 0.052)
Th (0.875, 0.125, 0.250)
Br (0.822, 0.697, 0.448)
Th (0.375, 0.125, 0.250)
Th (0.875, 0.625, 0.750)
Br (0.447, 0.499, 0.375)
Br (0.124, 0.072, 0.625)
Br (0.249, 0.374, 0.552)
Br (0.303, 0.751, 0.125)
Br (0.501, 0.876, 0.948)
Br (0.626, 0.178, 0.875)
Th (0.875, 0.125, 0.750)

Summary:
DFT formation energy   -1.507 eV/atom
SG   I4_1/a (88)
Magnetization   0.01 Bohr magnetons per cell